Entry 1:
The following is a DFT calculation (PBE) of an optimized crystal structure of K2TcCl5O.

The structure in POSCAR format:
```
K2TcCl5O
1.0
-5.596 -2.382 -3.477
5.496 -7.859 -3.460
-3.626 -7.310 10.843
Cl O K Tc
20 4 8 4
direct
0.109 0.250 0.754 Cl
0.962 0.750 0.003 Cl
0.425 0.750 0.219 Cl
0.462 0.250 0.497 Cl
0.687 0.984 0.107 Cl
0.575 0.250 0.781 Cl
0.813 0.984 0.607 Cl
0.925 0.250 0.281 Cl
0.313 0.484 0.893 Cl
0.813 0.516 0.607 Cl
0.687 0.516 0.107 Cl
0.187 0.016 0.393 Cl
0.075 0.750 0.719 Cl
0.391 0.250 0.254 Cl
0.038 0.250 0.997 Cl
0.891 0.750 0.246 Cl
0.313 0.016 0.893 Cl
0.609 0.750 0.746 Cl
0.538 0.750 0.503 Cl
0.187 0.484 0.393 Cl
0.020 0.250 0.501 O
0.520 0.750 0.999 O
0.480 0.250 0.001 O
0.980 0.750 0.499 O
0.665 0.501 0.356 K
0.165 0.499 0.144 K
0.165 0.001 0.144 K
0.665 0.999 0.356 K
0.835 0.501 0.856 K
0.335 0.001 0.644 K
0.335 0.499 0.644 K
0.835 0.999 0.856 K
0.669 0.750 0.095 Tc
0.169 0.250 0.405 Tc
0.331 0.250 0.905 Tc
0.831 0.750 0.595 Tc
```

## Properties
Size of the total moment = 0.00 μB/f.u.
Volume = 26.92 Å³ per atom
VASP energy = -4.3330 eV/atom

---

Entry 2:
The following is a DFT calculation (PBE) of an optimized crystal structure of Mo6IrRu.

The structure in POSCAR format:
```
Mo6IrRu
1.0
0.000 5.001 0.000
0.000 0.000 5.001
5.001 0.000 0.000
Ir Mo Ru
1 6 1
direct
0.500 0.500 0.500 Ir
0.500 0.751 0.000 Mo
0.751 0.000 0.500 Mo
0.249 0.000 0.500 Mo
0.000 0.500 0.751 Mo
0.500 0.249 0.000 Mo
0.000 0.500 0.249 Mo
0.000 0.000 0.000 Ru
```

## Properties
Size of the total moment = 0.00 μB/f.u.
Volume = 15.64 Å³ per atom
VASP energy = -10.4239 eV/atom

---

Question: volume of number 2 (Mo6IrRu)?
Answer: 15.64 Å³ per atom

---

Question: Look up the volume of the second one.
Answer: 15.64 Å³ per atom

---

Copy entry 2 word for word.
The following is a DFT calculation (PBE) of an optimized crystal structure of Mo6IrRu.

The structure in POSCAR format:
```
Mo6IrRu
1.0
0.000 5.001 0.000
0.000 0.000 5.001
5.001 0.000 0.000
Ir Mo Ru
1 6 1
direct
0.500 0.500 0.500 Ir
0.500 0.751 0.000 Mo
0.751 0.000 0.500 Mo
0.249 0.000 0.500 Mo
0.000 0.500 0.751 Mo
0.500 0.249 0.000 Mo
0.000 0.500 0.249 Mo
0.000 0.000 0.000 Ru
```

## Properties
Size of the total moment = 0.00 μB/f.u.
Volume = 15.64 Å³ per atom
VASP energy = -10.4239 eV/atom

---

Question: Which value of volume does entry 1 give?
Answer: 26.92 Å³ per atom